ScSi7Rh3: relaxed, PBE-GGA.

Total moment (μB per formula unit): 0.000
Formation energy from the elements (eV per atom): -0.647
Final energy (eV/atom): -6.68
Space group: No. 167

a = 7.921 Å, b = 7.921 Å, c = 7.921 Å
α = 57.08°, β = 57.08°, γ = 57.08°
Fractional positions:
Sc1 0.000 0.000 0.000
Sc2 0.500 0.500 0.500
Si1 0.750 0.750 0.750
Si2 0.250 0.250 0.250
Si3 0.852 0.066 0.672
Si4 0.672 0.852 0.066
Si5 0.066 0.672 0.852
Si6 0.648 0.828 0.434
Si7 0.434 0.648 0.828
Si8 0.828 0.434 0.648
Si9 0.172 0.566 0.352
Si10 0.566 0.352 0.172
Si11 0.352 0.172 0.566
Si12 0.934 0.328 0.148
Si13 0.328 0.148 0.934
Si14 0.148 0.934 0.328
Rh1 0.072 0.428 0.750
Rh2 0.250 0.928 0.572
Rh3 0.572 0.250 0.928
Rh4 0.928 0.572 0.250
Rh5 0.428 0.750 0.072
Rh6 0.750 0.072 0.428

Ce4MgRh: relaxed, PBE-GGA.

Total moment (μB per formula unit): 4.267
Formation energy from the elements (eV per atom): -0.189
Final energy (eV/atom): -5.64
Space group: No. 216

a = 9.775 Å, b = 9.775 Å, c = 9.775 Å
α = 60.00°, β = 60.00°, γ = 60.00°
Fractional positions:
Ce1 0.349 0.349 0.349
Ce2 0.349 0.349 0.954
Ce3 0.349 0.954 0.349
Ce4 0.954 0.349 0.349
Ce5 0.809 0.191 0.191
Ce6 0.191 0.809 0.809
Ce7 0.191 0.809 0.191
Ce8 0.809 0.191 0.809
Ce9 0.191 0.191 0.809
Ce10 0.809 0.809 0.191
Ce11 0.937 0.563 0.563
Ce12 0.563 0.937 0.937
Ce13 0.563 0.937 0.563
Ce14 0.937 0.563 0.937
Ce15 0.563 0.563 0.937
Ce16 0.937 0.937 0.563
Mg1 0.581 0.581 0.581
Mg2 0.581 0.581 0.258
Mg3 0.581 0.258 0.581
Mg4 0.258 0.581 0.581
Rh1 0.141 0.141 0.141
Rh2 0.141 0.141 0.576
Rh3 0.141 0.576 0.141
Rh4 0.576 0.141 0.141

Cr19S30: relaxed, PBE-GGA.

Total moment (μB per formula unit): 53.999
Formation energy from the elements (eV per atom): -0.974
Final energy (eV/atom): -6.94
Space group: No. 2

a = 8.881 Å, b = 10.396 Å, c = 10.735 Å
α = 80.86°, β = 72.46°, γ = 67.15°
Fractional positions:
Cr1 0.797 0.103 0.798
Cr2 0.000 0.500 0.000
Cr3 0.203 0.897 0.202
Cr4 0.604 0.700 0.602
Cr5 0.396 0.300 0.398
Cr6 0.022 0.822 0.986
Cr7 0.224 0.229 0.189
Cr8 0.416 0.633 0.384
Cr9 0.796 0.436 0.803
Cr10 0.620 0.028 0.585
Cr11 0.978 0.178 0.014
Cr12 0.204 0.564 0.197
Cr13 0.380 0.972 0.415
Cr14 0.776 0.771 0.811
Cr15 0.584 0.367 0.616
Cr16 0.293 0.102 0.803
Cr17 0.106 0.696 0.602
Cr18 0.894 0.304 0.398
Cr19 0.707 0.898 0.197
S1 0.207 0.266 0.968
S2 0.005 0.865 0.768
S3 0.802 0.465 0.570
S4 0.603 0.066 0.366
S5 0.404 0.670 0.168
S6 0.009 0.200 0.780
S7 0.818 0.794 0.576
S8 0.610 0.397 0.377
S9 0.415 0.995 0.180
S10 0.213 0.594 0.974
S11 0.207 0.943 0.973
S12 0.004 0.545 0.773
S13 0.811 0.143 0.568
S14 0.607 0.748 0.372
S15 0.413 0.339 0.174
S16 0.397 0.934 0.634
S17 0.198 0.535 0.430
S18 0.995 0.135 0.232
S19 0.793 0.734 0.032
S20 0.596 0.330 0.832
S21 0.585 0.005 0.820
S22 0.390 0.603 0.623
S23 0.182 0.206 0.424
S24 0.991 0.800 0.220
S25 0.787 0.406 0.026
S26 0.393 0.252 0.628
S27 0.189 0.857 0.432
S28 0.996 0.455 0.227
S29 0.793 0.057 0.027
S30 0.587 0.661 0.826

Q: Which of these has the lowest final energy?
A: Cr19S30